# 1
A relaxed structure of Sm2Co5B2, computed with PBE-GGA.

## Properties
- Formation enthalpy at 0 K: -31.96 kJ/mol of atoms
- ρ: 9.14 g cm⁻³
- Magnetization: 0.0 Bohr magnetons per cell

a b c (Å): 5.0954 5.0954 19.9324
angles (deg): 90.00 90.00 120.00
Positions (direct):
1 Sm 0.3333 0.6667 0.0219
2 Sm 0.3333 0.6667 0.1747
3 Sm 0.3333 0.6667 0.3253
4 Sm 0.3333 0.6667 0.4781
5 Sm 0.6667 0.3333 0.5219
6 Sm 0.6667 0.3333 0.6747
7 Sm 0.6667 0.3333 0.8253
8 Sm 0.6667 0.3333 0.9781
9 Co 0.0000 0.0000 0.0000
10 Co 0.0000 0.0000 0.5000
11 Co 0.1615 0.3229 0.6071
12 Co 0.1615 0.3229 0.8929
13 Co 0.1615 0.8385 0.6071
14 Co 0.1615 0.8385 0.8929
15 Co 0.1675 0.3350 0.7500
16 Co 0.1675 0.8325 0.7500
17 Co 0.3229 0.1615 0.1071
18 Co 0.3229 0.1615 0.3929
19 Co 0.3350 0.1675 0.2500
20 Co 0.6650 0.8325 0.7500
21 Co 0.6771 0.8385 0.6071
22 Co 0.6771 0.8385 0.8929
23 Co 0.8325 0.1675 0.2500
24 Co 0.8325 0.6650 0.2500
25 Co 0.8385 0.1615 0.1071
26 Co 0.8385 0.1615 0.3929
27 Co 0.8385 0.6771 0.1071
28 Co 0.8385 0.6771 0.3929
29 B 0.0000 0.0000 0.1778
30 B 0.0000 0.0000 0.3222
31 B 0.0000 0.0000 0.6778
32 B 0.0000 0.0000 0.8222
33 B 0.3333 0.6667 0.6747
34 B 0.3333 0.6667 0.8253
35 B 0.6667 0.3333 0.1747
36 B 0.6667 0.3333 0.3253

---

# 2
A relaxed structure of KTeO5, computed with PBE-GGA.

## Properties
- Formation enthalpy at 0 K: -83.70 kJ/mol of atoms
- ρ: 3.33 g cm⁻³
- Corrected total energy (MP2020 scheme): -5.01 eV per atom
- Magnetization: 1.0 Bohr magnetons per cell

a b c (Å): 5.1246 3.9534 6.2829
angles (deg): 90.00 104.95 90.00
Positions (direct):
1 K 0.0000 0.0000 0.0000
2 Te 0.5000 0.5000 0.5000
3 O 0.1071 0.5000 0.5919
4 O 0.3447 0.5000 0.2037
5 O 0.5000 0.0000 0.5000
6 O 0.6553 0.5000 0.7963
7 O 0.8929 0.5000 0.4081

---

Q: Among the records above, which one has the lowest formation enthalpy at 0 K?
A: KTeO5

---

Q: Which of these has the lowest magnetization?
A: Sm2Co5B2

---

Q: What is the formation enthalpy at 0 K in the second record?
A: -83.70 kJ/mol of atoms